# 1
Below is Ba3TmB9O18 after structural relaxation, with properties calculated at the PBE-GGA level.

The structure belongs to space group P6_3/m (No. 176); the cell edges are 7.2556, 7.2556 and 17.3296 Å and the angles 90.00°, 90.00° and 120.00°. The distinct sites, in fractional coordinates, are Ba at (0.0000, 0.0000, 0.2500), Ba at (0.3333, 0.6667, 0.1318), Tm at (0.0000, 0.0000, 0.0000), B at (0.1167, 0.4948, 0.7500), B at (0.1653, 0.7169, 0.5814), O at (0.0055, 0.7576, 0.5796), O at (0.0814, 0.6681, 0.2500), O at (0.1224, 0.5040, 0.5820) and O at (0.1667, 0.7092, 0.7500).

The raw total energy is -7.882 eV/atom. The magnetic moment comes out at 0.0 μB per formula unit. The value obtained for the formation energy is -3.139 eV/atom.

***

# 2
Below is Ba3YB9O18 after structural relaxation, with properties calculated at the PBE-GGA level.

The structure belongs to space group P6_3/m (No. 176); the cell edges are 7.2858, 7.2858 and 17.4370 Å and the angles 90.00°, 90.00° and 120.00°. The distinct sites, in fractional coordinates, are Ba at (0.0000, 0.0000, 0.2500), Ba at (0.3333, 0.6667, 0.1324), Y at (0.0000, 0.0000, 0.0000), B at (0.1174, 0.6216, 0.7500), B at (0.1655, 0.4500, 0.5819), O at (0.0054, 0.2505, 0.5810), O at (0.0801, 0.4136, 0.2500), O at (0.1235, 0.6196, 0.5820) and O at (0.1677, 0.4582, 0.7500).

The raw total energy is -7.938 eV/atom. The magnetic moment comes out at 0.0 μB per formula unit. The value obtained for the formation energy is -3.130 eV/atom.

***

> The lowest raw total energy belongs to which entry?

Ba3YB9O18